# 1
DFT (PBE) results for an optimized crystal structure of LaGaS3O12.

a b c (Å): 8.953 8.953 23.793
angles (deg): 90.00 90.00 120.00
Fractional coordinates of all 102 atoms:
O 0.715 0.538 0.240
O 0.241 0.189 0.792
O 0.700 0.177 0.729
O 0.129 0.707 0.466
O 0.127 0.471 0.865
O 0.718 0.145 0.042
O 0.488 0.143 0.636
O 0.344 0.873 0.865
O 0.547 0.868 0.741
O 0.857 0.345 0.636
O 0.426 0.282 0.042
O 0.578 0.871 0.466
O 0.012 0.190 0.198
O 0.853 0.515 0.142
O 0.813 0.995 0.691
O 0.948 0.759 0.792
O 0.204 0.048 0.594
O 0.477 0.300 0.729
O 0.826 0.007 0.404
O 0.119 0.654 0.092
O 0.840 0.514 0.430
O 0.023 0.201 0.915
O 0.346 0.465 0.092
O 0.210 0.048 0.299
O 0.967 0.811 0.104
O 0.485 0.339 0.142
O 0.823 0.523 0.729
O 0.180 0.174 0.404
O 0.107 0.465 0.579
O 0.089 0.626 0.368
O 0.457 0.171 0.534
O 0.321 0.453 0.741
O 0.489 0.133 0.919
O 0.867 0.356 0.919
O 0.655 0.512 0.636
O 0.540 0.677 0.968
O 0.535 0.642 0.579
O 0.374 0.463 0.368
O 0.952 0.162 0.299
O 0.799 0.822 0.915
O 0.309 0.868 0.254
O 0.005 0.819 0.691
O 0.293 0.422 0.466
O 0.838 0.790 0.299
O 0.559 0.691 0.254
O 0.993 0.820 0.404
O 0.855 0.574 0.042
O 0.189 0.157 0.104
O 0.644 0.511 0.919
O 0.661 0.147 0.142
O 0.537 0.911 0.368
O 0.843 0.033 0.104
O 0.132 0.441 0.254
O 0.137 0.460 0.968
O 0.811 0.052 0.792
O 0.181 0.187 0.691
O 0.673 0.160 0.430
O 0.323 0.863 0.968
O 0.952 0.156 0.594
O 0.486 0.327 0.430
O 0.844 0.796 0.594
O 0.715 0.543 0.534
O 0.529 0.656 0.865
O 0.179 0.988 0.198
O 0.535 0.881 0.092
O 0.829 0.285 0.534
O 0.462 0.177 0.240
O 0.178 0.977 0.915
O 0.823 0.285 0.240
O 0.810 0.821 0.198
O 0.358 0.893 0.579
O 0.132 0.679 0.741
S 0.732 0.711 0.247
S 0.977 0.695 0.737
S 0.305 0.281 0.737
S 0.378 0.065 0.586
S 0.654 0.987 0.417
S 0.690 0.052 0.096
S 0.948 0.638 0.096
S 0.013 0.667 0.417
S 0.333 0.346 0.417
S 0.289 0.021 0.247
S 0.628 0.667 0.917
S 0.935 0.312 0.586
S 0.979 0.268 0.247
S 0.362 0.310 0.096
S 0.688 0.622 0.586
S 0.333 0.961 0.917
S 0.719 0.023 0.737
S 0.039 0.372 0.917
Ga 0.000 0.000 0.349
Ga 0.667 0.333 0.484
Ga 0.667 0.333 0.680
Ga 0.000 0.000 0.644
Ga 0.667 0.333 0.190
Ga 0.000 0.000 0.153
La 0.667 0.333 0.986
La 0.333 0.667 0.031
La 0.333 0.667 0.312
La 0.333 0.667 0.802
La 0.000 0.000 0.847
La 0.333 0.667 0.521

Computed properties:
ΔH_f (0 K) = -2.259 eV/atom
space group = P321 (150)
energy = -6.46 eV/atom

# 2
DFT (PBE) results for an optimized crystal structure of La3GaS5O.

a b c (Å): 4.049 10.856 20.069
angles (deg): 90.00 90.00 90.00
Fractional coordinates of all 40 atoms:
S 0.250 0.088 0.212
S 0.250 0.278 0.385
S 0.750 0.352 0.262
S 0.750 0.222 0.885
S 0.750 0.912 0.788
S 0.750 0.585 0.880
S 0.250 0.127 0.035
S 0.250 0.148 0.762
S 0.750 0.722 0.615
S 0.750 0.412 0.712
S 0.750 0.085 0.620
S 0.250 0.588 0.288
S 0.750 0.873 0.965
S 0.250 0.648 0.738
S 0.750 0.373 0.535
S 0.250 0.915 0.380
S 0.250 0.778 0.115
S 0.250 0.627 0.465
S 0.250 0.415 0.120
S 0.750 0.852 0.238
O 0.250 0.425 0.958
O 0.250 0.925 0.542
O 0.750 0.575 0.042
O 0.750 0.075 0.458
La 0.750 0.353 0.010
La 0.250 0.901 0.663
La 0.250 0.147 0.510
La 0.250 0.401 0.837
La 0.750 0.599 0.163
La 0.250 0.647 0.990
La 0.750 0.853 0.490
La 0.250 0.020 0.897
La 0.750 0.980 0.103
La 0.750 0.480 0.397
La 0.250 0.520 0.603
La 0.750 0.099 0.337
Ga 0.250 0.794 0.289
Ga 0.250 0.294 0.211
Ga 0.750 0.706 0.789
Ga 0.750 0.206 0.711

Computed properties:
ΔH_f (0 K) = -2.395 eV/atom
space group = Pnma (62)
energy = -6.42 eV/atom

# 3
DFT (PBE) results for an optimized crystal structure of La2ZnGa2S6O.

a b c (Å): 9.418 9.418 6.120
angles (deg): 90.00 90.00 90.00
Fractional coordinates of all 24 atoms:
S 0.868 0.368 0.720
S 0.332 0.565 0.259
S 0.435 0.332 0.741
S 0.065 0.832 0.259
S 0.632 0.868 0.280
S 0.832 0.935 0.741
S 0.368 0.132 0.280
S 0.565 0.668 0.741
S 0.935 0.168 0.259
S 0.168 0.065 0.741
S 0.132 0.632 0.720
S 0.668 0.435 0.259
La 0.655 0.155 0.508
La 0.345 0.845 0.508
La 0.845 0.655 0.492
La 0.155 0.345 0.492
Zn 0.500 0.500 0.000
Zn 0.000 0.000 0.000
Ga 0.128 0.628 0.086
Ga 0.628 0.872 0.914
Ga 0.872 0.372 0.086
Ga 0.372 0.128 0.914
O 0.500 0.000 0.764
O 0.000 0.500 0.236

Computed properties:
ΔH_f (0 K) = -1.849 eV/atom
space group = P-42_1m (113)
largest piezoelectric modulus = 0.12 C/m²
energy = -5.45 eV/atom

# 4
DFT (PBE) results for an optimized crystal structure of La3Sc2Ga3O12.

a b c (Å): 11.242 11.242 11.242
angles (deg): 109.47 109.47 109.47
Fractional coordinates of all 80 atoms:
O 0.417 0.817 0.795
O 0.100 0.622 0.417
O 0.183 0.205 0.583
O 0.205 0.583 0.183
O 0.022 0.317 0.900
O 0.900 0.022 0.317
O 0.583 0.900 0.378
O 0.100 0.978 0.683
O 0.122 0.600 0.917
O 0.183 0.478 0.600
O 0.705 0.683 0.083
O 0.600 0.183 0.478
O 0.683 0.100 0.978
O 0.600 0.917 0.122
O 0.978 0.795 0.878
O 0.622 0.705 0.522
O 0.900 0.378 0.583
O 0.978 0.683 0.100
O 0.378 0.295 0.478
O 0.400 0.817 0.522
O 0.817 0.522 0.400
O 0.522 0.622 0.705
O 0.122 0.022 0.205
O 0.795 0.878 0.978
O 0.378 0.583 0.900
O 0.400 0.083 0.878
O 0.878 0.400 0.083
O 0.522 0.400 0.817
O 0.878 0.978 0.795
O 0.295 0.317 0.917
O 0.795 0.417 0.817
O 0.817 0.795 0.417
O 0.417 0.100 0.622
O 0.205 0.122 0.022
O 0.478 0.600 0.183
O 0.083 0.878 0.400
O 0.583 0.183 0.205
O 0.317 0.900 0.022
O 0.022 0.205 0.122
O 0.917 0.295 0.317
O 0.317 0.917 0.295
O 0.083 0.705 0.683
O 0.917 0.122 0.600
O 0.478 0.378 0.295
O 0.705 0.522 0.622
O 0.295 0.478 0.378
O 0.683 0.083 0.705
O 0.622 0.417 0.100
Sc 0.500 0.000 0.000
Sc 0.000 0.000 0.000
Sc 0.500 0.500 0.000
Sc 0.000 0.500 0.500
Sc 0.000 0.500 0.000
Sc 0.500 0.500 0.500
Sc 0.500 0.000 0.500
Sc 0.000 0.000 0.500
Ga 0.875 0.250 0.125
Ga 0.250 0.625 0.375
Ga 0.125 0.750 0.875
Ga 0.750 0.875 0.125
Ga 0.625 0.750 0.375
Ga 0.875 0.125 0.750
Ga 0.125 0.875 0.250
Ga 0.250 0.125 0.875
Ga 0.375 0.625 0.750
Ga 0.375 0.250 0.625
Ga 0.750 0.375 0.625
Ga 0.625 0.375 0.250
La 0.125 0.375 0.750
La 0.125 0.250 0.375
La 0.250 0.375 0.125
La 0.375 0.125 0.250
La 0.750 0.625 0.875
La 0.875 0.625 0.250
La 0.625 0.875 0.750
La 0.875 0.750 0.625
La 0.375 0.750 0.125
La 0.625 0.250 0.875
La 0.250 0.875 0.625
La 0.750 0.125 0.375

Computed properties:
ΔH_f (0 K) = -3.381 eV/atom
space group = Ia-3d (230)
energy = -7.77 eV/atom

# 5
DFT (PBE) results for an optimized crystal structure of LaGaSe2O.

a b c (Å): 5.991 6.011 12.448
angles (deg): 90.00 90.00 90.00
Fractional coordinates of all 20 atoms:
Se 0.753 0.994 0.219
Se 0.253 0.506 0.219
Se 0.750 0.976 0.586
Se 0.753 0.494 0.781
Se 0.250 0.024 0.414
Se 0.750 0.476 0.414
Se 0.250 0.524 0.586
Se 0.253 0.006 0.781
La 0.756 0.997 0.906
La 0.256 0.503 0.906
La 0.256 0.003 0.094
La 0.756 0.497 0.094
O 0.003 0.750 0.001
O 0.503 0.250 0.999
O 0.503 0.750 0.001
O 0.003 0.250 0.999
Ga 0.658 0.077 0.398
Ga 0.158 0.923 0.602
Ga 0.658 0.577 0.602
Ga 0.158 0.423 0.398

Computed properties:
ΔH_f (0 K) = -1.985 eV/atom
space group = Pca2_1 (29)
energy = -5.83 eV/atom

# 6
DFT (PBE) results for an optimized crystal structure of La3Ga5SnO14.

a b c (Å): 8.354 8.354 5.219
angles (deg): 90.00 90.00 120.00
Fractional coordinates of all 23 atoms:
La 0.427 0.000 0.000
La 0.000 0.427 0.000
La 0.573 0.573 0.000
O 0.772 0.854 0.758
O 0.856 0.540 0.698
O 0.333 0.667 0.819
O 0.460 0.316 0.698
O 0.146 0.918 0.758
O 0.316 0.460 0.302
O 0.540 0.856 0.302
O 0.684 0.144 0.698
O 0.144 0.684 0.302
O 0.854 0.772 0.242
O 0.082 0.228 0.758
O 0.918 0.146 0.242
O 0.667 0.333 0.181
O 0.228 0.082 0.242
Ga 0.667 0.333 0.530
Ga 0.755 0.000 0.500
Ga 0.245 0.245 0.500
Ga 0.000 0.755 0.500
Ga 0.333 0.667 0.470
Sn 0.000 0.000 0.000

Computed properties:
ΔH_f (0 K) = -2.832 eV/atom
space group = P321 (150)
energy = -6.90 eV/atom

# 7
DFT (PBE) results for an optimized crystal structure of SrLaGaO4.

a b c (Å): 6.873 6.873 6.873
angles (deg): 147.03 147.03 47.31
Fractional coordinates of all 7 atoms:
La 0.358 0.358 0.000
O 0.171 0.171 0.000
O 0.835 0.835 0.000
O 0.995 0.495 0.500
O 0.495 0.995 0.500
Ga 0.005 0.005 0.000
Sr 0.642 0.642 0.000

Computed properties:
ΔH_f (0 K) = -3.109 eV/atom
space group = I4mm (107)
energy = -6.92 eV/atom

# 8
DFT (PBE) results for an optimized crystal structure of Sr2LaGaO5.

a b c (Å): 6.879 6.879 7.525
angles (deg): 62.59 62.59 89.59
Fractional coordinates of all 18 atoms:
O 0.500 0.500 0.000
O 0.707 0.207 0.290
O 0.003 0.503 0.290
O 0.502 0.286 0.712
O 0.214 0.998 0.288
O 0.000 0.000 0.000
O 0.786 0.002 0.712
O 0.293 0.793 0.710
O 0.498 0.714 0.288
O 0.997 0.497 0.710
Sr 0.824 0.676 0.000
Sr 0.750 0.750 0.500
Sr 0.176 0.324 0.000
Sr 0.250 0.250 0.500
La 0.319 0.819 0.000
La 0.681 0.181 0.000
Ga 0.752 0.252 0.497
Ga 0.248 0.748 0.503

Computed properties:
ΔH_f (0 K) = -3.111 eV/atom
space group = Fmmm (69)
energy = -6.74 eV/atom